Entry 1:
{"formula": "Na6MgAl4Si13O36", "functional": "GGA-PBE", "state": "optimized geometry", "cell": [[13.661, -4.330, 0.000], [13.661, 4.330, 0.000], [-0.334, 0.000, 5.286]], "species": ["Na", "Na", "Na", "Na", "Na", "Na", "Mg", "Al", "Al", "Al", "Al", "Si", "Si", "Si", "Si", "Si", "Si", "Si", "Si", "Si", "Si", "Si", "Si", "Si", "O", "O", "O", "O", "O", "O", "O", "O", "O", "O", "O", "O", "O", "O", "O", "O", "O", "O", "O", "O", "O", "O", "O", "O", "O", "O", "O", "O", "O", "O", "O", "O", "O", "O", "O", "O"], "frac_coords": [[0.000, 0.000, 0.000], [0.271, 0.063, 0.835], [0.339, 0.330, 0.669], [0.600, 0.400, 0.500], [0.670, 0.661, 0.331], [0.937, 0.729, 0.165], [0.398, 0.602, 0.000], [0.066, 0.268, 0.333], [0.542, 0.125, 0.166], [0.732, 0.934, 0.667], [0.875, 0.458, 0.834], [0.110, 0.696, 0.779], [0.161, 0.367, 0.047], [0.207, 0.793, 0.500], [0.297, 0.511, 0.292], [0.304, 0.890, 0.221], [0.447, 0.026, 0.452], [0.489, 0.703, 0.708], [0.633, 0.839, 0.953], [0.642, 0.217, 0.877], [0.783, 0.358, 0.123], [0.830, 0.033, 0.381], [0.967, 0.170, 0.619], [0.974, 0.553, 0.548], [0.012, 0.247, 0.638], [0.024, 0.891, 0.358], [0.080, 0.489, 0.811], [0.084, 0.323, 0.027], [0.094, 0.474, 0.310], [0.109, 0.976, 0.642], [0.161, 0.082, 0.194], [0.172, 0.588, 0.522], [0.177, 0.751, 0.776], [0.192, 0.580, 0.025], [0.249, 0.823, 0.224], [0.254, 0.172, 0.471], [0.329, 0.599, 0.335], [0.354, 0.223, 0.029], [0.401, 0.671, 0.665], [0.412, 0.828, 0.478], [0.420, 0.808, 0.975], [0.443, 0.317, 0.302], [0.493, 0.407, 0.851], [0.511, 0.920, 0.189], [0.526, 0.068, 0.469], [0.526, 0.906, 0.690], [0.593, 0.507, 0.149], [0.602, 0.136, 0.861], [0.677, 0.916, 0.973], [0.683, 0.557, 0.698], [0.749, 0.153, 0.142], [0.753, 0.988, 0.362], [0.768, 0.134, 0.646], [0.777, 0.646, 0.971], [0.828, 0.746, 0.529], [0.847, 0.251, 0.858], [0.864, 0.398, 0.139], [0.866, 0.232, 0.354], [0.918, 0.839, 0.806], [0.932, 0.474, 0.531]], "m_tot_mub_per_cell": 0.00, "vol_a3_per_atom": 10.4, "formation_enthalpy_0k_ev_per_atom": -3.1207}

---

Entry 2:
{"formula": "Na4MgAl2Si9O24", "functional": "GGA-PBE", "state": "optimized geometry", "cell": [[5.306, 0.000, 0.000], [0.000, 8.681, 0.000], [-0.578, 0.000, 18.164]], "species": ["Na", "Na", "Na", "Na", "Na", "Na", "Na", "Na", "Mg", "Mg", "Al", "Al", "Al", "Al", "Si", "Si", "Si", "Si", "Si", "Si", "Si", "Si", "Si", "Si", "Si", "Si", "Si", "Si", "Si", "Si", "Si", "Si", "O", "O", "O", "O", "O", "O", "O", "O", "O", "O", "O", "O", "O", "O", "O", "O", "O", "O", "O", "O", "O", "O", "O", "O", "O", "O", "O", "O", "O", "O", "O", "O", "O", "O", "O", "O", "O", "O", "O", "O", "O", "O", "O", "O", "O", "O", "O", "O"], "frac_coords": [[0.124, 0.000, 0.376], [0.124, 0.401, 0.876], [0.374, 0.498, 0.126], [0.374, 0.903, 0.626], [0.626, 0.403, 0.374], [0.626, 0.998, 0.874], [0.876, 0.500, 0.624], [0.876, 0.901, 0.124], [0.125, 0.795, 0.875], [0.875, 0.295, 0.125], [0.124, 0.606, 0.375], [0.374, 0.296, 0.625], [0.626, 0.796, 0.375], [0.876, 0.106, 0.625], [0.042, 0.294, 0.480], [0.047, 0.109, 0.981], [0.209, 0.111, 0.769], [0.213, 0.292, 0.270], [0.292, 0.797, 0.229], [0.299, 0.605, 0.730], [0.374, 0.106, 0.125], [0.457, 0.608, 0.520], [0.462, 0.794, 0.021], [0.538, 0.294, 0.979], [0.543, 0.108, 0.480], [0.626, 0.606, 0.875], [0.701, 0.105, 0.270], [0.708, 0.297, 0.771], [0.787, 0.792, 0.730], [0.791, 0.611, 0.231], [0.953, 0.609, 0.019], [0.958, 0.794, 0.520], [0.007, 0.941, 0.949], [0.015, 0.463, 0.444], [0.041, 0.700, 0.199], [0.044, 0.703, 0.703], [0.050, 0.277, 0.570], [0.081, 0.116, 0.073], [0.198, 0.130, 0.678], [0.204, 0.710, 0.047], [0.207, 0.695, 0.552], [0.230, 0.265, 0.180], [0.234, 0.462, 0.305], [0.242, 0.941, 0.800], [0.260, 0.966, 0.189], [0.264, 0.438, 0.693], [0.291, 0.198, 0.946], [0.293, 0.205, 0.449], [0.302, 0.780, 0.320], [0.330, 0.612, 0.822], [0.447, 0.625, 0.429], [0.455, 0.212, 0.802], [0.457, 0.193, 0.305], [0.476, 0.768, 0.930], [0.485, 0.438, 0.555], [0.488, 0.965, 0.060], [0.512, 0.465, 0.940], [0.515, 0.938, 0.445], [0.524, 0.268, 0.070], [0.543, 0.693, 0.695], [0.545, 0.712, 0.198], [0.553, 0.125, 0.571], [0.670, 0.112, 0.178], [0.698, 0.280, 0.680], [0.707, 0.705, 0.551], [0.709, 0.698, 0.054], [0.736, 0.938, 0.307], [0.740, 0.466, 0.811], [0.758, 0.441, 0.200], [0.766, 0.962, 0.695], [0.770, 0.765, 0.820], [0.793, 0.195, 0.448], [0.796, 0.210, 0.953], [0.802, 0.630, 0.322], [0.919, 0.616, 0.927], [0.950, 0.777, 0.430], [0.956, 0.203, 0.297], [0.959, 0.200, 0.801], [0.985, 0.963, 0.556], [0.993, 0.441, 0.051]], "m_tot_mub_per_cell": 0.00, "vol_a3_per_atom": 10.5, "formation_enthalpy_0k_ev_per_atom": -3.0993}

---

Entry 3:
{"formula": "Na12Mg5Al2Si29O72", "functional": "GGA-PBE", "state": "optimized geometry", "cell": [[5.344, 0.000, 0.000], [0.000, 8.718, 0.000], [-1.474, 0.000, 27.086]], "species": ["Na", "Na", "Na", "Na", "Na", "Na", "Na", "Na", "Na", "Na", "Na", "Na", "Mg", "Mg", "Mg", "Mg", "Mg", "Al", "Al", "Si", "Si", "Si", "Si", "Si", "Si", "Si", "Si", "Si", "Si", "Si", "Si", "Si", "Si", "Si", "Si", "Si", "Si", "Si", "Si", "Si", "Si", "Si", "Si", "Si", "Si", "Si", "Si", "Si", "O", "O", "O", "O", "O", "O", "O", "O", "O", "O", "O", "O", "O", "O", "O", "O", "O", "O", "O", "O", "O", "O", "O", "O", "O", "O", "O", "O", "O", "O", "O", "O", "O", "O", "O", "O", "O", "O", "O", "O", "O", "O", "O", "O", "O", "O", "O", "O", "O", "O", "O", "O", "O", "O", "O", "O", "O", "O", "O", "O", "O", "O", "O", "O", "O", "O", "O", "O", "O", "O", "O", "O"], "frac_coords": [[0.000, 0.000, 0.000], [0.000, 0.494, 0.500], [0.165, 0.415, 0.332], [0.167, 0.908, 0.833], [0.331, 0.999, 0.666], [0.333, 0.492, 0.167], [0.500, 0.416, 0.000], [0.500, 0.911, 0.500], [0.667, 0.492, 0.833], [0.669, 0.999, 0.334], [0.833, 0.908, 0.167], [0.835, 0.415, 0.668], [0.000, 0.608, 0.000], [0.167, 0.300, 0.833], [0.334, 0.608, 0.667], [0.666, 0.608, 0.333], [0.833, 0.300, 0.167], [0.000, 0.109, 0.500], [0.500, 0.301, 0.500], [0.035, 0.621, 0.763], [0.050, 0.105, 0.265], [0.116, 0.800, 0.569], [0.131, 0.288, 0.071], [0.166, 0.800, 0.334], [0.209, 0.291, 0.596], [0.217, 0.803, 0.098], [0.289, 0.108, 0.402], [0.298, 0.621, 0.904], [0.333, 0.107, 0.167], [0.372, 0.617, 0.430], [0.384, 0.105, 0.932], [0.450, 0.803, 0.235], [0.465, 0.287, 0.737], [0.500, 0.801, 0.000], [0.535, 0.287, 0.263], [0.550, 0.803, 0.765], [0.616, 0.105, 0.068], [0.628, 0.617, 0.570], [0.667, 0.107, 0.833], [0.702, 0.621, 0.096], [0.711, 0.108, 0.598], [0.783, 0.803, 0.902], [0.791, 0.291, 0.404], [0.834, 0.800, 0.666], [0.869, 0.288, 0.929], [0.884, 0.800, 0.431], [0.950, 0.105, 0.735], [0.965, 0.621, 0.237], [0.005, 0.646, 0.298], [0.028, 0.450, 0.783], [0.029, 0.938, 0.292], [0.031, 0.195, 0.382], [0.038, 0.714, 0.886], [0.055, 0.111, 0.204], [0.110, 0.793, 0.630], [0.129, 0.194, 0.947], [0.134, 0.968, 0.545], [0.135, 0.708, 0.454], [0.139, 0.458, 0.050], [0.170, 0.261, 0.131], [0.192, 0.460, 0.618], [0.196, 0.970, 0.125], [0.197, 0.717, 0.212], [0.198, 0.274, 0.535], [0.204, 0.194, 0.719], [0.222, 0.797, 0.037], [0.295, 0.714, 0.780], [0.302, 0.192, 0.288], [0.303, 0.939, 0.376], [0.305, 0.126, 0.462], [0.306, 0.450, 0.884], [0.332, 0.642, 0.370], [0.336, 0.647, 0.965], [0.362, 0.939, 0.958], [0.363, 0.192, 0.046], [0.368, 0.708, 0.552], [0.369, 0.446, 0.454], [0.389, 0.111, 0.871], [0.444, 0.797, 0.296], [0.463, 0.197, 0.618], [0.470, 0.716, 0.121], [0.471, 0.970, 0.209], [0.473, 0.458, 0.717], [0.497, 0.261, 0.202], [0.503, 0.261, 0.798], [0.527, 0.458, 0.283], [0.529, 0.970, 0.791], [0.530, 0.716, 0.879], [0.537, 0.197, 0.382], [0.556, 0.797, 0.704], [0.611, 0.111, 0.129], [0.631, 0.446, 0.546], [0.632, 0.708, 0.448], [0.637, 0.192, 0.954], [0.638, 0.939, 0.042], [0.664, 0.647, 0.035], [0.668, 0.642, 0.630], [0.694, 0.450, 0.116], [0.695, 0.126, 0.538], [0.697, 0.939, 0.624], [0.698, 0.192, 0.712], [0.705, 0.714, 0.220], [0.778, 0.797, 0.963], [0.796, 0.194, 0.281], [0.802, 0.274, 0.465], [0.803, 0.717, 0.788], [0.804, 0.970, 0.875], [0.808, 0.460, 0.382], [0.830, 0.261, 0.869], [0.861, 0.458, 0.950], [0.865, 0.708, 0.546], [0.866, 0.968, 0.455], [0.871, 0.194, 0.053], [0.890, 0.793, 0.370], [0.945, 0.111, 0.796], [0.962, 0.714, 0.114], [0.969, 0.195, 0.618], [0.971, 0.938, 0.708], [0.972, 0.450, 0.217], [0.995, 0.646, 0.702]], "m_tot_mub_per_cell": 0.00, "vol_a3_per_atom": 10.5, "formation_enthalpy_0k_ev_per_atom": -3.0688}

---

Entry 4:
{"formula": "Na9Mg9AlSi10O35", "functional": "GGA-PBE", "state": "optimized geometry", "cell": [[12.565, -4.352, 0.000], [12.565, 4.352, 0.000], [-0.001, 0.000, 6.493]], "species": ["Na", "Na", "Na", "Na", "Na", "Na", "Na", "Na", "Na", "Mg", "Mg", "Mg", "Mg", "Mg", "Mg", "Mg", "Mg", "Mg", "Al", "Si", "Si", "Si", "Si", "Si", "Si", "Si", "Si", "Si", "Si", "O", "O", "O", "O", "O", "O", "O", "O", "O", "O", "O", "O", "O", "O", "O", "O", "O", "O", "O", "O", "O", "O", "O", "O", "O", "O", "O", "O", "O", "O", "O", "O", "O", "O", "O"], "frac_coords": [[0.000, 0.000, 0.000], [0.132, 0.673, 0.001], [0.256, 0.144, 0.000], [0.327, 0.868, 0.999], [0.499, 0.334, 0.000], [0.516, 0.089, 0.000], [0.666, 0.501, 0.000], [0.856, 0.744, 0.000], [0.911, 0.484, 0.000], [0.062, 0.938, 0.500], [0.122, 0.677, 0.501], [0.253, 0.146, 0.500], [0.323, 0.878, 0.499], [0.452, 0.346, 0.501], [0.520, 0.079, 0.500], [0.654, 0.548, 0.499], [0.854, 0.747, 0.500], [0.921, 0.480, 0.500], [0.722, 0.278, 0.500], [0.187, 0.413, 0.747], [0.188, 0.412, 0.255], [0.395, 0.603, 0.255], [0.397, 0.605, 0.745], [0.587, 0.813, 0.253], [0.588, 0.812, 0.745], [0.784, 0.020, 0.746], [0.791, 0.015, 0.256], [0.980, 0.216, 0.254], [0.985, 0.209, 0.744], [0.047, 0.275, 0.694], [0.061, 0.603, 0.314], [0.118, 0.017, 0.690], [0.124, 0.348, 0.315], [0.173, 0.086, 0.306], [0.184, 0.413, 0.002], [0.205, 0.731, 0.693], [0.251, 0.476, 0.690], [0.269, 0.795, 0.307], [0.314, 0.222, 0.689], [0.325, 0.546, 0.308], [0.379, 0.284, 0.312], [0.397, 0.939, 0.686], [0.415, 0.585, 0.000], [0.454, 0.675, 0.692], [0.459, 0.004, 0.312], [0.524, 0.749, 0.310], [0.526, 0.416, 0.668], [0.584, 0.474, 0.332], [0.587, 0.816, 0.998], [0.595, 0.141, 0.692], [0.652, 0.876, 0.685], [0.668, 0.203, 0.333], [0.716, 0.621, 0.688], [0.725, 0.953, 0.306], [0.778, 0.686, 0.311], [0.784, 0.032, 0.001], [0.797, 0.332, 0.667], [0.845, 0.084, 0.668], [0.859, 0.405, 0.308], [0.914, 0.827, 0.694], [0.916, 0.155, 0.332], [0.968, 0.216, 0.999], [0.983, 0.882, 0.310], [0.996, 0.541, 0.688]], "m_tot_mub_per_cell": 0.00, "vol_a3_per_atom": 11.1, "formation_enthalpy_0k_ev_per_atom": -2.9833}